1.
A relaxed BaMgSbF7 crystal, computed with PBE.

E_tot	-209.205	eV per cell

abc: 5.8240 10.7247 9.9729
angles: 90.00 95.24 90.00
Fractional coordinates of all 40 atoms:
Ba 0.2362 0.1604 0.0236
Ba 0.2362 0.3396 0.5236
Ba 0.7638 0.6604 0.4764
Ba 0.7638 0.8396 0.9764
Mg 0.1981 0.6337 0.8027
Mg 0.1981 0.8663 0.3027
Mg 0.8019 0.1337 0.6973
Mg 0.8019 0.3663 0.1973
Sb 0.2945 0.5885 0.1555
Sb 0.2945 0.9115 0.6555
Sb 0.7055 0.0885 0.3445
Sb 0.7055 0.4115 0.8445
F 0.0256 0.7108 0.2305
F 0.0256 0.7892 0.7305
F 0.0786 0.1161 0.5976
F 0.0786 0.3839 0.0976
F 0.0955 0.5499 0.6345
F 0.0955 0.9501 0.1345
F 0.3502 0.7082 0.9758
F 0.3502 0.7918 0.4758
F 0.3674 0.0238 0.3630
F 0.3674 0.4762 0.8630
F 0.3885 0.5329 0.3556
F 0.3885 0.9671 0.8556
F 0.4661 0.7483 0.7293
F 0.4661 0.7517 0.2293
F 0.5339 0.2483 0.7707
F 0.5339 0.2517 0.2707
F 0.6115 0.0329 0.1444
F 0.6115 0.4671 0.6444
F 0.6326 0.5238 0.1370
F 0.6326 0.9762 0.6370
F 0.6498 0.2082 0.5242
F 0.6498 0.2918 0.0242
F 0.9045 0.0499 0.8655
F 0.9045 0.4501 0.3655
F 0.9214 0.6161 0.9024
F 0.9214 0.8839 0.4024
F 0.9744 0.2108 0.2695
F 0.9744 0.2892 0.7695


2.
A relaxed Dy2Sb2O7 crystal, computed with PBE.

polymorph energy (0 for the lowest one)	47	meV/atom

abc: 7.5449 7.5449 7.5449
angles: 118.63 90.19 121.17
Fractional coordinates of all 22 atoms:
Dy 0.0000 0.0000 0.0000
Dy 0.5000 0.0000 0.0000
Dy 0.5000 0.0000 0.5000
Dy 0.5000 0.5000 0.5000
Sb 0.0000 0.0000 0.5000
Sb 0.0000 0.5000 0.0000
Sb 0.0000 0.5000 0.5000
Sb 0.5000 0.5000 0.0000
O 0.0341 0.7841 0.2500
O 0.0737 0.2035 0.3762
O 0.0737 0.6975 0.8703
O 0.3272 0.2035 0.6297
O 0.3272 0.6975 0.1238
O 0.3661 0.2474 0.1188
O 0.3714 0.7526 0.6188
O 0.6286 0.2474 0.3812
O 0.6339 0.7526 0.8812
O 0.6727 0.3025 0.8762
O 0.6727 0.7965 0.3703
O 0.9263 0.3025 0.1297
O 0.9263 0.7965 0.6238
O 0.9659 0.2159 0.7500